[1]
# NaMg14Co PBE optimized geometry
data_NaMg14Co
_cell_length_a 6.417
_cell_length_b 6.417
_cell_length_c 9.838
_cell_angle_alpha 90.00
_cell_angle_beta 90.00
_cell_angle_gamma 120.00
_space_group_name_H-M_alt 'P 1'
_space_group_IT_number 1
loop_
_space_group_symop_operation_xyz
'x,y,z'
loop_
_atom_site_label
_atom_site_type_symbol
_atom_site_fract_x
_atom_site_fract_y
_atom_site_fract_z
Mg1 Mg 0.664 0.327 0.625
Mg2 Mg 0.669 0.338 0.125
Mg3 Mg 0.327 0.173 0.891
Mg4 Mg 0.173 0.836 0.625
Mg5 Mg 0.669 0.831 0.125
Mg6 Mg 0.327 0.654 0.891
Mg7 Mg 0.162 0.831 0.125
Mg8 Mg 0.327 0.654 0.359
Mg9 Mg 0.664 0.836 0.625
Mg10 Mg 0.846 0.173 0.891
Mg11 Mg 0.833 0.667 0.380
Mg12 Mg 0.833 0.667 0.870
Mg13 Mg 0.327 0.173 0.359
Mg14 Mg 0.846 0.173 0.359
Co1 Co 0.167 0.333 0.125
Na1 Na 0.167 0.333 0.625
# - Polymorph energy (0 for the lowest one): 0 meV per atom
# - Energy of formation from the pure elements: 10.10 kJ/mol of atoms



[2]
# Mg14NbCo PBE optimized geometry
data_Mg14NbCo
_cell_length_a 6.308
_cell_length_b 6.308
_cell_length_c 9.871
_cell_angle_alpha 90.00
_cell_angle_beta 90.00
_cell_angle_gamma 120.00
_space_group_name_H-M_alt 'P 1'
_space_group_IT_number 1
loop_
_space_group_symop_operation_xyz
'x,y,z'
loop_
_atom_site_label
_atom_site_type_symbol
_atom_site_fract_x
_atom_site_fract_y
_atom_site_fract_z
Mg1 Mg 0.855 0.177 0.367
Mg2 Mg 0.833 0.667 0.382
Mg3 Mg 0.855 0.177 0.883
Mg4 Mg 0.323 0.177 0.367
Mg5 Mg 0.833 0.667 0.868
Mg6 Mg 0.174 0.837 0.625
Mg7 Mg 0.323 0.645 0.883
Mg8 Mg 0.663 0.326 0.625
Mg9 Mg 0.668 0.336 0.125
Mg10 Mg 0.164 0.832 0.125
Mg11 Mg 0.668 0.832 0.125
Mg12 Mg 0.323 0.645 0.367
Mg13 Mg 0.323 0.177 0.883
Mg14 Mg 0.663 0.837 0.625
Co1 Co 0.167 0.333 0.125
Nb1 Nb 0.167 0.333 0.625
# - Polymorph energy (0 for the lowest one): 20 meV per atom
# - Energy of formation from the pure elements: 13.78 kJ/mol of atoms



[3]
# Mg14NbCo PBE optimized geometry
data_Mg14NbCo
_cell_length_a 6.287
_cell_length_b 6.080
_cell_length_c 9.937
_cell_angle_alpha 90.00
_cell_angle_beta 90.00
_cell_angle_gamma 118.92
_space_group_name_H-M_alt 'P 1'
_space_group_IT_number 1
loop_
_space_group_symop_operation_xyz
'x,y,z'
loop_
_atom_site_label
_atom_site_type_symbol
_atom_site_fract_x
_atom_site_fract_y
_atom_site_fract_z
Mg1 Mg 0.662 0.833 0.625
Mg2 Mg 0.657 0.335 0.125
Mg3 Mg 0.844 0.672 0.875
Mg4 Mg 0.856 0.178 0.893
Mg5 Mg 0.657 0.822 0.125
Mg6 Mg 0.329 0.662 0.892
Mg7 Mg 0.166 0.333 0.625
Mg8 Mg 0.329 0.167 0.892
Mg9 Mg 0.856 0.178 0.357
Mg10 Mg 0.169 0.835 0.625
Mg11 Mg 0.329 0.662 0.358
Mg12 Mg 0.329 0.167 0.358
Mg13 Mg 0.662 0.329 0.625
Mg14 Mg 0.844 0.672 0.375
Co1 Co 0.166 0.333 0.125
Nb1 Nb 0.145 0.822 0.125
# - Polymorph energy (0 for the lowest one): 0 meV per atom
# - Energy of formation from the pure elements: 11.84 kJ/mol of atoms



[4]
# Mg6NbCo PBE optimized geometry
data_Mg6NbCo
_cell_length_a 4.725
_cell_length_b 5.968
_cell_length_c 11.004
_cell_angle_alpha 90.00
_cell_angle_beta 90.00
_cell_angle_gamma 90.00
_space_group_name_H-M_alt 'P 1'
_space_group_IT_number 1
loop_
_space_group_symop_operation_xyz
'x,y,z'
loop_
_atom_site_label
_atom_site_type_symbol
_atom_site_fract_x
_atom_site_fract_y
_atom_site_fract_z
Co1 Co 0.000 0.000 0.801
Co2 Co 0.000 0.500 0.301
Mg1 Mg 0.000 0.760 0.582
Mg2 Mg 0.500 0.500 0.669
Mg3 Mg 0.000 0.500 0.826
Mg4 Mg 0.500 0.000 0.169
Mg5 Mg 0.000 0.260 0.082
Mg6 Mg 0.000 0.740 0.082
Mg7 Mg 0.000 0.000 0.326
Mg8 Mg 0.500 0.758 0.924
Mg9 Mg 0.500 0.242 0.924
Mg10 Mg 0.000 0.240 0.582
Mg11 Mg 0.500 0.258 0.424
Mg12 Mg 0.500 0.742 0.424
Nb1 Nb 0.500 0.000 0.693
Nb2 Nb 0.500 0.500 0.193
# - Polymorph energy (0 for the lowest one): 0 meV per atom
# - Energy of formation from the pure elements: 17.56 kJ/mol of atoms



Which value of polymorph energy (0 for the lowest one) does entry 1 give?
0 meV per atom



What is the polymorph energy (0 for the lowest one) in the second record?
20 meV per atom